First-principles (r²SCAN) data for crystalline KFeMo2O8 at its relaxed geometry, as listed in the Materials Project database.

Output
ρ ... 3.514 g/cm3
Formation energy from the elements ... -2.106 eV/atom
Volume ... 392.0 Å³ per cell
DFT total energy ... -12.135 eV per atom

Cell lengths 5.6777, 9.0290, 9.0310 Å; angles 77.90, 108.30, 71.67 degrees
Sites, in units of the cell vectors:
O: 0.3237 0.7532 0.9153
O: 0.1613 0.7469 0.5845
Mo: 0.6668 0.7074 0.0410
O: 0.1614 0.0040 0.3266
O: 0.8386 0.4960 0.1734
Mo: 0.6667 0.2074 0.5410
O: 0.3236 0.2531 0.4154
K: 0.0003 0.0000 0.0000
O: 0.8386 0.2531 0.4155
Mo: 0.3333 0.2926 0.9590
O: 0.1614 0.5040 0.8265
Fe: 0.0000 0.7500 0.7500
O: 0.6763 0.2469 0.0846
K: 0.9998 0.5000 0.5000
O: 0.6763 0.7468 0.5847
O: 0.1614 0.2469 0.0845
O: 0.3339 0.6697 0.3369
O: 0.8386 0.9960 0.6735
O: 0.3337 0.1697 0.8368
Mo: 0.3332 0.7926 0.4590
O: 0.8387 0.7531 0.9155
O: 0.6662 0.3303 0.6632
O: 0.6661 0.8303 0.1632
Fe: 0.0000 0.2500 0.2500